! Cs2ZrMnMo4O16 (PBE with a Hubbard U, optimized geometry); values from VASP
! * V: 1025.99 Å³ per cell
! * VASP energy: -7.20 eV per atom
! * M_tot: 0.00 μB/f.u.
&SYSTEM
  ibrav = 0, nat = 48, ntyp = 5
/
ATOMIC_SPECIES
O 16.00 O.upf
Mo 95.94 Mo.upf
Cs 132.91 Cs.upf
Zr 91.22 Zr.upf
Mn 54.94 Mn.upf
ATOMIC_POSITIONS crystal
O 0.177 0.822 0.329
O 0.715 0.262 0.309
O 0.823 0.678 0.171
O 0.825 0.926 0.920
O 0.216 0.009 0.559
O 0.285 0.238 0.191
O 0.175 0.574 0.580
O 0.427 0.442 0.705
O 0.427 0.942 0.205
O 0.329 0.178 0.671
O 0.784 0.991 0.441
O 0.177 0.322 0.829
O 0.285 0.738 0.691
O 0.330 0.926 0.920
O 0.784 0.491 0.941
O 0.920 0.204 0.955
O 0.823 0.178 0.671
O 0.920 0.704 0.455
O 0.671 0.322 0.829
O 0.670 0.574 0.580
O 0.825 0.426 0.420
O 0.080 0.296 0.545
O 0.671 0.074 0.080
O 0.329 0.426 0.420
O 0.573 0.558 0.295
O 0.671 0.822 0.329
O 0.080 0.796 0.045
O 0.574 0.058 0.795
O 0.216 0.509 0.059
O 0.715 0.762 0.809
O 0.175 0.074 0.080
O 0.329 0.678 0.171
Mo 0.391 0.081 0.138
Mo 0.609 0.419 0.362
Mo 0.889 0.333 0.889
Mo 0.111 0.667 0.111
Mo 0.390 0.581 0.638
Mo 0.889 0.834 0.389
Mo 0.610 0.919 0.862
Mo 0.111 0.166 0.611
Cs 0.243 0.141 0.373
Cs 0.757 0.359 0.127
Cs 0.757 0.859 0.627
Cs 0.243 0.641 0.873
Zr 0.500 0.750 0.250
Zr 0.500 0.250 0.750
Mn 0.000 0.000 0.000
Mn 0.999 0.500 0.500
CELL_PARAMETERS angstrom
0.679 3.813 -4.526
-2.363 -5.107 -8.579
-16.107 7.643 0.094